Compound: Nd3Ge5
Source: the Materials Project database
Functional: PBE-GGA
Structure: optimized geometry

Cell lengths 11.4105, 9.4281, 7.6894 Å; angles 82.94, 55.09, 41.97 degrees
With the nearest neighbours (Å) after each atom.
Sites, in units of the cell vectors:
Nd1 0.5800 0.5822 0.9296  9 Ge 3.06-3.39
Nd2 0.9981 0.0019 0.9981  8 Ge 3.08-3.18
Nd3 0.2481 0.2519 0.2481  8 Ge 3.08-3.18
Nd4 0.6678 0.6700 0.3418  9 Ge 3.06-3.39
Nd5 0.3418 0.3204 0.6678  9 Ge 3.06-3.39
Ge1 0.3766 0.4818 0.9363  2 Ge 2.57-2.64
Nd6 0.9296 0.9082 0.5800  9 Ge 3.06-3.39
Ge2 0.7682 0.8734 0.0446  2 Ge 2.57-2.64
Ge3 0.9363 0.2054 0.3766  2 Ge 2.57-2.64
Ge4 0.0446 0.3137 0.7682  2 Ge 2.57-2.64
Ge5 0.6954 0.8046 0.6954  2 Ge 2.62
Ge6 0.4878 0.3386 0.1834  3 Ge 2.57-2.64
Ge7 0.2598 0.0666 0.9114  3 Ge 2.57-2.64
Ge8 0.9114 0.7622 0.2598  3 Ge 2.57-2.64
Ge9 0.4454 0.5546 0.4454  2 Ge 2.62
Ge10 0.1834 0.9902 0.4878  3 Ge 2.57-2.64

Computed properties:
Formation energy in meV/atom: -743
E in eV per atom: -5.420
Space-group type: Fdd2